# LaTe PBE-GGA optimized geometry
data_LaTe
_chemical_formula_sum 'La4 Te4'
_space_group_name_H-M_alt 'F m -3 m'
_space_group_IT_number 225
_space_group_name_Hall '-F 4 2 3'
_cell_length_a 6.488
_cell_length_b 6.488
_cell_length_c 6.488
_cell_angle_alpha 90.00
_cell_angle_beta 90.00
_cell_angle_gamma 90.00
loop_
_atom_site_label
_atom_site_type_symbol
_atom_site_fract_x
_atom_site_fract_y
_atom_site_fract_z
_atom_site_occupancy
La1 La 0.000 0.000 0.000 1
Te1 Te 0.000 0.000 0.500 1
# ΔH_f (0 K) = -1.80 eV per atom

# LaTe3 PBE-GGA optimized geometry
data_LaTe3
_chemical_formula_sum 'La4 Te12'
_space_group_name_H-M_alt 'C m c m'
_space_group_IT_number 63
_space_group_name_Hall '-C 2c 2'
_cell_length_a 4.440
_cell_length_b 27.183
_cell_length_c 4.430
_cell_angle_alpha 90.00
_cell_angle_beta 90.00
_cell_angle_gamma 90.00
loop_
_atom_site_label
_atom_site_type_symbol
_atom_site_fract_x
_atom_site_fract_y
_atom_site_fract_z
_atom_site_occupancy
La1 La 0.000 0.170 0.250 1
Te1 Te 0.000 0.074 0.750 1
Te2 Te 0.000 0.295 0.250 1
Te3 Te 0.000 0.425 0.750 1
# ΔH_f (0 K) = -1.40 eV per atom